Record 1
Entry from the Materials Project database: FeOF after structural relaxation (GGA+U).

```
data_FeOF
_chemical_formula_sum 'Fe12 O12 F12'
_symmetry_space_group_name_H-M 'P 1 m 1'
_symmetry_Int_Tables_number 6
_cell_length_a 9.4397
_cell_length_b 3.0853
_cell_length_c 14.1694
_cell_angle_alpha 90.00
_cell_angle_beta 90.15
_cell_angle_gamma 90.00
loop_
_symmetry_equiv_pos_as_xyz
'x,y,z'
'x,-y,z'
loop_
_atom_site_label
_atom_site_type_symbol
_atom_site_fract_x
_atom_site_fract_y
_atom_site_fract_z
Fe1 Fe 0.0000 0.0000 0.0000
Fe2 Fe 0.0006 0.0000 0.3324
Fe3 Fe 0.0107 0.0000 0.6590
Fe4 Fe 0.2571 0.5000 0.1861
Fe5 Fe 0.2623 0.5000 0.5182
Fe6 Fe 0.2800 0.5000 0.8393
Fe7 Fe 0.4940 0.0000 0.6720
Fe8 Fe 0.5081 0.0000 0.3278
Fe9 Fe 0.5109 0.0000 0.9927
Fe10 Fe 0.7575 0.5000 0.1859
Fe11 Fe 0.7620 0.5000 0.8490
Fe12 Fe 0.7807 0.5000 0.5041
O1 O 0.1022 0.5000 0.2743
O2 O 0.1054 0.5000 0.6080
O3 O 0.3504 0.0000 0.9069
O4 O 0.3514 0.0000 0.2372
O5 O 0.3622 0.0000 0.5673
O6 O 0.4136 0.5000 0.7362
O7 O 0.6036 0.5000 0.2767
O8 O 0.6040 0.5000 0.9404
O9 O 0.8523 0.0000 0.5710
O10 O 0.8544 0.0000 0.2321
O11 O 0.8610 0.0000 0.9061
O12 O 0.9127 0.5000 0.3998
F1 F 0.1046 0.5000 0.9352
F2 F 0.1573 0.0000 0.7759
F3 F 0.1576 0.0000 0.1019
F4 F 0.1645 0.0000 0.4406
F5 F 0.4066 0.5000 0.4034
F6 F 0.4089 0.5000 0.0725
F7 F 0.6079 0.5000 0.6048
F8 F 0.6536 0.0000 0.1063
F9 F 0.6542 0.0000 0.4428
F10 F 0.6681 0.0000 0.7689
F11 F 0.9038 0.5000 0.0699
F12 F 0.9135 0.5000 0.7379
```

## Properties
Energy with MP2020 corrections = -256.88 eV/cell
Energy of formation from the pure elements = -2025 meV/atom
M_tot = 4.94 μB/f.u.
Total energy = -6.0006 eV per atom

Record 2
Entry from the Materials Project database: LiCrP3O9 after structural relaxation (GGA+U).

```
data_LiCrP3O9
_chemical_formula_sum 'Li4 Cr4 P12 O36'
_symmetry_space_group_name_H-M 'C 1 c 1'
_symmetry_Int_Tables_number 9
_cell_length_a 11.5590
_cell_length_b 6.4370
_cell_length_c 9.8358
_cell_angle_alpha 90.00
_cell_angle_beta 93.27
_cell_angle_gamma 90.00
loop_
_symmetry_equiv_pos_as_xyz
'x,y,z'
'x,-y,z+1/2'
'x+1/2,y+1/2,z'
'x+1/2,-y+1/2,z+1/2'
loop_
_atom_site_label
_atom_site_type_symbol
_atom_site_fract_x
_atom_site_fract_y
_atom_site_fract_z
Li1 Li 0.0000 0.0569 0.0000
Cr1 Cr 0.1774 0.4942 0.5035
P1 P 0.2237 0.1577 0.7582
P2 P 0.3365 0.2572 0.2528
P3 P 0.4800 0.1239 0.7498
O1 O 0.0288 0.2948 0.1223
O2 O 0.0494 0.3472 0.3824
O3 O 0.1663 0.2284 0.8842
O4 O 0.1688 0.2193 0.6220
O5 O 0.2332 0.0905 0.2642
O6 O 0.3137 0.3840 0.1257
O7 O 0.3554 0.3671 0.3866
O8 O 0.3567 0.2288 0.7713
O9 O 0.4474 0.1164 0.2250
```

## Properties
Energy with MP2020 corrections = -433.06 eV/cell
Energy of formation from the pure elements = -2567 meV/atom
M_tot = 4.00 μB/f.u.
Energy above the most stable polymorph in this dataset = 3.4 kJ/mol of atoms
Total energy = -7.1488 eV per atom

Record 3
Entry from the Materials Project database: Mn3Cr3Sb2O16 after structural relaxation (GGA+U).

```
data_Mn3Cr3Sb2O16
_chemical_formula_sum 'Mn3 Cr3 Sb2 O16'
_symmetry_space_group_name_H-M 'P 1'
_symmetry_Int_Tables_number 1
_cell_length_a 5.8925
_cell_length_b 5.8991
_cell_length_c 9.2425
_cell_angle_alpha 89.13
_cell_angle_beta 89.99
_cell_angle_gamma 60.08
loop_
_symmetry_equiv_pos_as_xyz
'x,y,z'
loop_
_atom_site_label
_atom_site_type_symbol
_atom_site_fract_x
_atom_site_fract_y
_atom_site_fract_z
Mn1 Mn 0.0000 0.0000 0.0000
Mn2 Mn 0.1664 0.1715 0.5035
Mn3 Mn 0.6625 0.1714 0.5035
Cr1 Cr 0.0021 0.5062 0.0067
Cr2 Cr 0.4914 0.5075 0.0049
Cr3 Cr 0.6616 0.6772 0.5039
Sb1 Sb 0.1644 0.6718 0.2832
Sb2 Sb 0.4989 0.0031 0.7826
O1 O 0.1579 0.6813 0.8979
O2 O 0.1635 0.1723 0.8908
O3 O 0.3044 0.8256 0.1277
O4 O 0.3080 0.3814 0.1330
O5 O 0.3429 0.8674 0.6292
O6 O 0.3491 0.3023 0.6255
O7 O 0.4904 0.0193 0.3999
O8 O 0.5012 0.5027 0.3900
O9 O 0.6650 0.1719 0.8906
O10 O 0.6663 0.6690 0.8890
O11 O 0.7899 0.8675 0.6291
O12 O 0.8340 0.3363 0.0913
O13 O 0.8360 0.3284 0.6004
O14 O 0.8700 0.8249 0.1275
O15 O 0.9955 0.0091 0.3921
O16 O 0.9964 0.5028 0.3901
```

## Properties
Energy with MP2020 corrections = -190.12 eV/cell
Energy of formation from the pure elements = -1927 meV/atom
M_tot = 17.00 μB/f.u.
Total energy = -7.0055 eV per atom

Record 4
Entry from the Materials Project database: Mn3CoO8 after structural relaxation (GGA+U).

```
data_Mn3CoO8
_chemical_formula_sum 'Mn9 Co3 O24'
_symmetry_space_group_name_H-M 'R -3 m'
_symmetry_Int_Tables_number 166
_symmetry_space_group_name_Hall '-R 3 2"'
_cell_length_a 5.8305
_cell_length_b 5.8305
_cell_length_c 13.8830
_cell_angle_alpha 90.00
_cell_angle_beta 90.00
_cell_angle_gamma 120.00
loop_
_atom_site_label
_atom_site_type_symbol
_atom_site_fract_x
_atom_site_fract_y
_atom_site_fract_z
Mn1 Mn 0.0000 0.5000 0.0000
Co1 Co 0.0000 0.0000 0.5000
O1 O 0.0000 0.0000 0.2632
O2 O 0.0415 0.5207 0.2533
```

## Properties
Energy with MP2020 corrections = -278.24 eV/cell
Energy of formation from the pure elements = -1547 meV/atom
M_tot = 7.96 μB/f.u.
Energy above the most stable polymorph in this dataset = 5.1 kJ/mol of atoms
Total energy = -6.7174 eV per atom

Record 5
Entry from the Materials Project database: LiVP3O9 after structural relaxation (GGA+U).

```
data_LiVP3O9
_chemical_formula_sum 'Li4 V4 P12 O36'
_symmetry_space_group_name_H-M 'P 21 21 21'
_symmetry_Int_Tables_number 19
_cell_length_a 8.5114
_cell_length_b 8.7002
_cell_length_c 8.7821
_cell_angle_alpha 90.00
_cell_angle_beta 90.00
_cell_angle_gamma 90.00
loop_
_symmetry_equiv_pos_as_xyz
'x,y,z'
'-x+1/2,-y,z+1/2'
'x+1/2,-y+1/2,-z'
'-x,y+1/2,-z+1/2'
loop_
_atom_site_label
_atom_site_type_symbol
_atom_site_fract_x
_atom_site_fract_y
_atom_site_fract_z
Li1 Li 0.1513 0.1340 0.1155
V1 V 0.1295 0.8551 0.3402
P1 P 0.0288 0.3209 0.8178
P2 P 0.1883 0.4789 0.3095
P3 P 0.2019 0.8079 0.9386
O1 O 0.0405 0.7743 0.8457
O2 O 0.0913 0.6116 0.3663
O3 O 0.1036 0.8729 0.5810
O4 O 0.1233 0.3848 0.1796
O5 O 0.1310 0.1933 0.8783
O6 O 0.1380 0.4634 0.7647
O7 O 0.1599 0.8601 0.0956
O8 O 0.1906 0.0937 0.3434
O9 O 0.2272 0.3644 0.4502
```

## Properties
Energy with MP2020 corrections = -434.92 eV/cell
Energy of formation from the pure elements = -2640 meV/atom
M_tot = 3.00 μB/f.u.
Energy above the most stable polymorph in this dataset = 0.0 kJ/mol of atoms
Total energy = -7.2034 eV per atom

Record 6
Entry from the Materials Project database: SrV3P4O17 after structural relaxation (GGA+U).

```
data_SrV3P4O17
_chemical_formula_sum 'Sr4 V12 P16 O68'
_symmetry_space_group_name_H-M 'P 21 21 21'
_symmetry_Int_Tables_number 19
_cell_length_a 7.6401
_cell_length_b 10.2020
_cell_length_c 16.5358
_cell_angle_alpha 90.00
_cell_angle_beta 90.00
_cell_angle_gamma 90.00
loop_
_symmetry_equiv_pos_as_xyz
'x,y,z'
'-x+1/2,-y,z+1/2'
'x+1/2,-y+1/2,-z'
'-x,y+1/2,-z+1/2'
loop_
_atom_site_label
_atom_site_type_symbol
_atom_site_fract_x
_atom_site_fract_y
_atom_site_fract_z
Sr1 Sr 0.0059 0.0631 0.1788
V1 V 0.2114 0.7521 0.4969
V2 V 0.2172 0.6768 0.1504
V3 V 0.2180 0.8254 0.8476
P1 P 0.1952 0.1379 0.8124
P2 P 0.1969 0.6361 0.6893
P3 P 0.2049 0.0597 0.5392
P4 P 0.2094 0.5622 0.9610
O1 O 0.0001 0.1270 0.7775
O2 O 0.0021 0.5624 0.9659
O3 O 0.0028 0.6682 0.1453
O4 O 0.0037 0.7756 0.4766
O5 O 0.0036 0.8301 0.8367
O6 O 0.1835 0.1656 0.9018
O7 O 0.1957 0.6592 0.5993
O8 O 0.2135 0.7505 0.2661
O9 O 0.2182 0.2487 0.2357
O10 O 0.2198 0.4963 0.2113
O11 O 0.2214 0.9965 0.2935
O12 O 0.2234 0.3870 0.5413
O13 O 0.2261 0.8888 0.9601
O14 O 0.2286 0.5773 0.4399
O15 O 0.2368 0.3557 0.3870
O16 O 0.2380 0.8622 0.1145
O17 O 0.2388 0.0821 0.0592
```

## Properties
Energy with MP2020 corrections = -812.78 eV/cell
Energy of formation from the pure elements = -2739 meV/atom
M_tot = 3.00 μB/f.u.
Total energy = -7.4567 eV per atom